A plane-wave DFT calculation with PBE was carried out for an optimized crystal structure of Ba4MgTl8O16.

Computed properties:
energy relative to the lowest polymorph listed for this composition	1.12	eV/f.u.
total magnetic moment	0.00	μB/f.u.
energy	-4.973	eV/atom
theoretical density	8.22	Mg/m³

Cell: 11.348 3.493 12.573 Å, 90.00 91.90 90.00°
Space group Pm (No. 6)
Inequivalent atoms, fractional coordinates:
Ba: 0.000 0.000 0.000 (multiplicity 1)
Ba: 0.013 0.500 0.492 (multiplicity 1)
Ba: 0.513 0.000 0.198 (multiplicity 1)
Ba: 0.540 0.500 0.654 (multiplicity 1)
Mg: 0.461 0.500 0.890 (multiplicity 1)
Tl: 0.174 0.500 0.251 (multiplicity 1)
Tl: 0.184 0.500 0.730 (multiplicity 1)
Tl: 0.292 0.000 0.991 (multiplicity 1)
Tl: 0.350 0.000 0.440 (multiplicity 1)
Tl: 0.706 0.500 0.441 (multiplicity 1)
Tl: 0.724 0.500 0.934 (multiplicity 1)
Tl: 0.832 0.000 0.228 (multiplicity 1)
Tl: 0.853 0.000 0.720 (multiplicity 1)
O: 0.029 0.000 0.652 (multiplicity 1)
O: 0.148 0.000 0.372 (multiplicity 1)
O: 0.173 0.500 0.942 (multiplicity 1)
O: 0.193 0.000 0.142 (multiplicity 1)
O: 0.334 0.500 0.549 (multiplicity 1)
O: 0.376 0.500 0.312 (multiplicity 1)
O: 0.411 0.000 0.835 (multiplicity 1)
O: 0.434 0.500 0.042 (multiplicity 1)
O: 0.577 0.000 0.491 (multiplicity 1)
O: 0.661 0.000 0.817 (multiplicity 1)
O: 0.689 0.500 0.260 (multiplicity 1)
O: 0.744 0.000 0.048 (multiplicity 1)
O: 0.775 0.500 0.619 (multiplicity 1)
O: 0.844 0.000 0.409 (multiplicity 1)
O: 0.895 0.500 0.855 (multiplicity 1)
O: 0.953 0.500 0.178 (multiplicity 1)

---

A plane-wave DFT calculation with PBE was carried out for an optimized crystal structure of SrTiS3.

Computed properties:
total magnetic moment	0.00	μB/f.u.
energy	-5.938	eV/atom
theoretical density	3.49	Mg/m³

Cell: 6.6224 6.6224 5.8124 Å, 90.00 90.00 120.00°
Space group P6_3/mmc (No. 194)
Inequivalent atoms, fractional coordinates:
Sr: 0.3333 0.6667 0.2500 (multiplicity 2)
Ti: 0.0000 0.0000 0.0000 (multiplicity 2)
S: 0.1697 0.3393 0.7500 (multiplicity 6)

---

A plane-wave DFT calculation with PBE was carried out for an optimized crystal structure of NaAlO3.

Computed properties:
total magnetic moment	2.00	μB/f.u.
energy	-5.700	eV/atom
theoretical density	3.07	Mg/m³

Cell: 3.754 3.754 3.754 Å, 90.00 90.00 90.00°
Space group Pm-3m (No. 221)
Inequivalent atoms, fractional coordinates:
Na: 0.000 0.000 0.000 (multiplicity 1)
Al: 0.500 0.500 0.500 (multiplicity 1)
O: 0.000 0.500 0.500 (multiplicity 3)

---

A plane-wave DFT calculation with PBE was carried out for an optimized crystal structure of CoN.

Computed properties:
energy relative to the lowest polymorph listed for this composition	0.75	eV/f.u.
total magnetic moment	0.01	μB/f.u.
energy	-7.242	eV/atom
theoretical density	7.53	Mg/m³

Cell: 4.007 4.007 4.007 Å, 90.00 90.00 90.00°
Space group Fm-3m (No. 225)
Inequivalent atoms, fractional coordinates:
Co: 0.000 0.000 0.000 (multiplicity 4)
N: 0.000 0.000 0.500 (multiplicity 4)

---

A plane-wave DFT calculation with PBE was carried out for an optimized crystal structure of LaMnFeSi2.

Computed properties:
total magnetic moment	2.56	μB/f.u.
energy	-7.255	eV/atom
theoretical density	6.05	Mg/m³

Cell: 4.023 4.023 10.377 Å, 90.00 90.00 90.00°
Space group I-4m2 (No. 119)
Inequivalent atoms, fractional coordinates:
La: 0.000 0.000 0.000 (multiplicity 2)
Mn: 0.000 0.500 0.750 (multiplicity 2)
Fe: 0.000 0.500 0.250 (multiplicity 2)
Si: 0.000 0.000 0.369 (multiplicity 4)

---

A plane-wave DFT calculation with PBE was carried out for an optimized crystal structure of CeSe2.

Computed properties:
energy	-5.900	eV/atom
theoretical density	6.04	Mg/m³

Cell: 6.894 6.894 6.894 Å, 90.00 90.00 90.00°
Space group Fm-3m (No. 225)
Inequivalent atoms, fractional coordinates:
Ce: 0.000 0.000 0.000 (multiplicity 4)
Se: 0.250 0.250 0.250 (multiplicity 8)

---

A plane-wave DFT calculation with PBE was carried out for an optimized crystal structure of U3Si11Pt23.

Computed properties:
total magnetic moment	0.14	μB/f.u.
energy	-6.641	eV/atom
theoretical density	14.45	Mg/m³

Cell: 17.176 17.176 17.176 Å, 90.00 90.00 90.00°
Space group Fm-3m (No. 225)
Inequivalent atoms, fractional coordinates:
U: 0.000 0.000 0.116 (multiplicity 24)
Si: 0.000 0.000 0.332 (multiplicity 24)
Si: 0.117 0.117 0.117 (multiplicity 32)
Si: 0.166 0.166 0.334 (multiplicity 32)
Pt: 0.000 0.250 0.250 (multiplicity 24)
Pt: 0.083 0.083 0.417 (multiplicity 32)
Pt: 0.084 0.084 0.251 (multiplicity 96)
Pt: 0.194 0.194 0.194 (multiplicity 32)

---

A plane-wave DFT calculation with PBE was carried out for an optimized crystal structure of K2S2NO6.

Computed properties:
total magnetic moment	1.00	μB/f.u.
energy	-5.739	eV/atom
theoretical density	2.35	Mg/m³

Cell: 12.709 7.620 7.372 Å, 90.00 91.56 90.00°
Space group C2/c (No. 15)
Inequivalent atoms, fractional coordinates:
K: 0.151 0.146 0.355 (multiplicity 8)
S: 0.100 0.321 0.858 (multiplicity 8)
N: 0.000 0.424 0.750 (multiplicity 4)
O: 0.056 0.227 0.013 (multiplicity 8)
O: 0.147 0.200 0.726 (multiplicity 8)
O: 0.171 0.465 0.909 (multiplicity 8)

---

> Which of these has the highest energy?

Ba4MgTl8O16